1.
## BaFeS (PBE-GGA)

Data for a geometry-optimized BaFeS structure.

* space group: P4/nmm, No. 129

Cell and atoms, written as extended XYZ:
```
6
Lattice="3.822 0.000 0.000 0.000 3.822 0.000 0.000 0.000 9.760" Properties=species:S:1:pos:R:3 pbc="T T T"
Ba 0.955 0.955 2.055
Ba 2.866 2.866 7.705
Fe 0.955 2.866 4.880
Fe 2.866 0.955 4.880
S 0.955 0.955 6.047
S 2.866 2.866 3.713
```

2.
## PmSm3 (PBE-GGA)

Data for a geometry-optimized PmSm3 structure.

* space group: Pm-3m, No. 221

Cell and atoms, written as extended XYZ:
```
4
Lattice="5.145 0.000 0.000 0.000 5.145 0.000 0.000 0.000 5.145" Properties=species:S:1:pos:R:3 pbc="T T T"
Pm 0.000 0.000 0.000
Sm 0.000 2.572 2.572
Sm 2.572 0.000 2.572
Sm 2.572 2.572 0.000
```

3.
## Al4Ge2W3 (PBE-GGA)

Data for a geometry-optimized Al4Ge2W3 structure.

* space group: C2, No. 5

Cell and atoms, written as extended XYZ:
```
9
Lattice="2.428 -4.211 0.000 2.428 4.211 0.000 -0.049 0.000 6.723" Properties=species:S:1:pos:R:3 pbc="T T T"
Al 0.000 0.000 0.000
Al 1.197 -2.092 4.500
Al 2.428 -1.408 0.000
Al 3.610 -2.092 2.222
Ge 1.148 0.757 4.507
Ge 3.659 0.757 2.215
W 2.428 1.393 0.000
W 1.238 -0.653 2.291
W 3.568 -0.653 4.432
```

4.
## DyC2 (PBE-GGA)

Data for a geometry-optimized DyC2 structure.

* space group: I4/mmm, No. 139

Cell and atoms, written as extended XYZ:
```
3
Lattice="-1.835 1.835 3.107 1.835 -1.835 3.107 1.835 1.835 -3.107" Properties=species:S:1:pos:R:3 pbc="T T T"
Dy 0.000 0.000 0.000
C 0.000 0.000 2.456
C 0.000 0.000 3.759
```

5.
## Mg14SiB (PBE-GGA)

Data for a geometry-optimized Mg14SiB structure.

* space group: P-6m2, No. 187

Cell and atoms, written as extended XYZ:
```
16
Lattice="6.170 0.000 0.000 -3.085 5.343 0.000 0.000 0.000 10.024" Properties=species:S:1:pos:R:3 pbc="T T T"
Mg 0.000 0.000 2.505
Mg 0.000 0.000 7.519
Mg -1.501 2.695 2.458
Mg -1.501 2.695 7.566
Mg 1.538 0.888 0.000
Mg 1.543 0.891 5.012
Mg 1.501 2.695 2.458
Mg 1.501 2.695 7.566
Mg 0.000 5.296 2.458
Mg 0.000 5.296 7.566
Mg 4.627 0.891 5.012
Mg 3.085 3.562 5.012
Mg 4.632 0.888 0.000
Mg 3.085 3.567 0.000
Si 0.000 3.562 5.012
B 0.000 3.562 0.000
```

6.
## U4Al (PBE-GGA)

Data for a geometry-optimized U4Al structure.

* space group: Fd-3m, No. 227

Cell and atoms, written as extended XYZ:
```
10
Lattice="0.000 5.086 5.086 5.086 0.000 5.086 5.086 5.086 0.000" Properties=species:S:1:pos:R:3 pbc="T T T"
U 7.976 4.740 4.740
U 2.197 2.197 2.197
U 5.433 5.433 2.197
U 5.433 2.197 5.433
U 4.740 7.976 4.740
U 4.740 4.740 7.976
U 7.976 7.976 7.976
U 2.197 5.433 5.433
Al 3.815 3.815 3.815
Al 6.358 6.358 6.358
```

Calculated formation energy per entry: -0.881; 0.010; -0.098; -0.191; 0.187; 1.127 eV/atom